Entry 1:
Here is a geometry-optimized LiMg6AlO8 structure from the Materials Project. Energies are from PBE-GGA.

The structure in POSCAR format:
```
LiMg6AlO8
1.0
8.496 0.000 0.000
0.000 4.173 0.000
0.000 0.000 4.173
Mg O Al Li
6 8 1 1
Cartesian
4.248 0.000 0.000 Mg
6.433 2.087 0.000 Mg
6.433 0.000 2.087 Mg
4.248 2.087 2.087 Mg
2.064 0.000 2.087 Mg
2.064 2.087 0.000 Mg
1.925 0.000 0.000 O
0.000 0.000 2.087 O
2.189 2.087 2.087 O
4.248 0.000 2.087 O
0.000 2.087 0.000 O
6.308 2.087 2.087 O
4.248 2.087 0.000 O
6.571 0.000 0.000 O
0.000 0.000 0.000 Al
0.000 2.087 2.087 Li
```

Values from the calculation:
M_tot = 0.0 μB per formula unit
Polymorph energy (0 for the lowest one) = 0.009 eV per atom



Entry 2:
Here is a geometry-optimized LiMgAl3S6O24 structure from the Materials Project. Energies are from PBE-GGA.

The structure in POSCAR format:
```
LiMgAl3S6O24
1.0
6.828 0.027 5.473
0.206 8.220 15.450
0.179 0.013 15.443
O S Al Mg Li
48 12 6 2 2
Cartesian
0.893 3.154 14.483 O
6.968 7.963 25.670 O
0.245 0.296 10.696 O
3.862 7.551 21.437 O
5.649 7.367 27.573 O
6.739 5.357 15.493 O
4.755 5.329 24.787 O
5.134 2.463 22.169 O
2.080 5.796 14.197 O
5.156 6.748 30.057 O
1.233 7.209 22.241 O
1.565 0.892 8.793 O
1.877 4.956 16.913 O
2.969 6.759 24.100 O
5.980 1.050 14.125 O
0.744 7.203 28.474 O
2.057 1.511 6.309 O
2.459 2.930 11.579 O
2.474 4.489 24.823 O
6.764 1.575 18.485 O
5.337 3.303 19.453 O
0.358 2.629 9.948 O
5.320 6.622 17.041 O
3.352 0.708 14.929 O
6.320 5.105 21.883 O
2.780 3.511 20.430 O
4.436 5.766 19.897 O
2.306 0.198 17.043 O
4.434 4.748 15.936 O
3.686 3.409 13.635 O
2.144 5.659 27.199 O
6.470 1.056 7.892 O
2.608 7.205 19.389 O
3.127 7.564 28.218 O
3.527 4.851 22.731 O
4.244 1.500 12.267 O
4.087 0.695 8.148 O
2.777 2.493 16.469 O
4.606 1.055 16.977 O
5.070 2.601 9.167 O
0.370 4.338 18.587 O
4.739 3.770 11.543 O
0.450 6.685 17.882 O
0.475 2.902 20.874 O
6.855 5.630 26.418 O
1.894 1.638 19.325 O
6.844 3.921 17.779 O
4.907 8.061 19.323 O
3.780 2.906 12.272 S
6.880 7.045 26.837 S
6.692 2.965 18.956 S
0.333 1.214 9.529 S
3.953 7.164 20.015 S
5.140 1.718 7.972 S
3.433 5.353 24.094 S
3.261 1.095 16.351 S
2.074 6.541 28.394 S
0.522 5.294 17.410 S
5.367 5.860 15.721 S
1.847 2.400 20.645 S
4.495 0.068 13.483 Al
1.200 8.212 18.637 Al
6.013 0.047 17.729 Al
6.000 4.117 25.527 Al
1.214 4.142 10.839 Al
2.719 8.191 22.883 Al
2.601 4.114 15.145 Mg
4.613 4.145 21.221 Mg
5.114 4.984 18.243 Li
2.099 3.275 18.123 Li
```

Values from the calculation:
M_tot = 0.0 μB per formula unit
Polymorph energy (0 for the lowest one) = 0.000 eV per atom



Entry 3:
Here is a geometry-optimized LiMgAl3S6O24 structure from the Materials Project. Energies are from PBE-GGA.

The structure in POSCAR format:
```
LiMgAl3S6O24
1.0
8.297 0.000 0.000
-0.029 8.675 0.000
-0.030 -0.772 11.991
O S Al Mg Li
48 12 6 2 2
Cartesian
3.326 1.368 11.852 O
2.629 2.470 7.480 O
7.138 0.406 9.949 O
5.317 2.776 7.933 O
6.766 7.128 1.631 O
2.459 0.769 2.224 O
7.228 4.475 1.441 O
5.702 0.129 7.985 O
6.798 1.258 5.027 O
1.557 5.013 2.029 O
6.743 4.675 8.275 O
0.177 5.332 11.862 O
7.618 7.435 8.213 O
4.912 6.534 0.139 O
2.458 5.212 11.121 O
2.980 -0.237 7.377 O
1.495 3.227 3.716 O
5.111 0.056 1.157 O
7.349 3.812 4.775 O
5.779 7.133 9.768 O
5.781 2.690 0.870 O
2.922 5.126 4.058 O
4.541 1.376 5.917 O
0.809 2.018 5.950 O
1.100 7.496 2.042 O
1.011 3.428 10.550 O
3.698 6.526 6.075 O
5.609 5.432 4.512 O
0.890 4.090 7.217 O
3.780 1.185 9.574 O
7.429 5.884 6.041 O
3.417 3.594 2.258 O
1.473 0.774 10.361 O
6.681 2.889 9.963 O
5.258 8.139 4.614 O
0.621 0.468 3.778 O
2.536 7.773 4.006 O
3.127 7.846 10.834 O
0.682 5.615 9.522 O
4.894 1.654 3.595 O
3.344 6.249 8.396 O
7.863 5.937 3.701 O
1.441 6.644 6.964 O
4.459 6.718 2.417 O
7.556 2.288 2.469 O
0.375 1.965 8.290 O
4.821 4.308 9.734 O
8.062 2.570 0.129 O
1.061 4.897 10.755 S
1.179 2.640 7.237 S
2.904 0.595 10.674 S
2.363 4.209 3.040 S
5.334 7.307 1.317 S
5.371 0.944 4.769 S
7.059 5.263 4.754 S
7.178 3.006 1.236 S
2.867 6.958 7.222 S
1.711 -0.189 3.022 S
5.875 3.693 8.952 S
6.527 8.092 8.969 S
8.231 6.004 1.838 Al
0.007 1.899 10.153 Al
4.116 6.658 4.289 Al
-0.008 5.700 7.725 Al
8.246 2.202 4.266 Al
4.122 1.244 7.702 Al
4.108 6.133 10.239 Mg
4.130 1.769 1.752 Mg
5.369 1.664 10.973 Li
2.869 6.238 1.018 Li
```

Values from the calculation:
M_tot = 0.0 μB per formula unit
Polymorph energy (0 for the lowest one) = 0.006 eV per atom



Number 1: theoretical density 3.45 g/cm³, total energy after the MP2020 corrections -0.4720 Ry/atom, E_tot -97.26 eV for the cell shown. Number 2: theoretical density 2.67 g/cm³, total energy after the MP2020 corrections -0.5042 Ry/atom, E_tot -447.27 eV for the cell shown. Number 3: theoretical density 2.65 g/cm³, total energy after the MP2020 corrections -0.5038 Ry/atom, E_tot -446.84 eV for the cell shown.